# 1
! ZnH6S4O16 (PBE-GGA, relaxed); values from VASP
&SYSTEM
  ibrav = 0, nat = 54, ntyp = 4
/
ATOMIC_SPECIES
Zn 65.41 Zn.upf
H 1.01 H.upf
S 32.06 S.upf
O 16.00 O.upf
CELL_PARAMETERS angstrom
5.1353 0.0000 0.0000
0.0000 15.5072 0.0000
-1.8346 0.0000 8.3941
ATOMIC_POSITIONS angstrom
Zn 0.0000 0.0000 0.0000
Zn -0.9173 7.7536 4.1970
H -0.5138 3.7136 6.7828
H 0.4035 4.0400 2.5858
H 1.3203 8.0541 1.0764
H 0.4030 15.2067 5.2735
H 0.5822 11.4328 7.0218
H 1.4994 11.8280 2.8248
H 1.8013 3.6792 5.5693
H 2.7186 4.0744 1.3722
H 2.8977 0.3005 3.1206
H 1.9804 7.4531 7.3176
H 2.8973 11.4672 5.8083
H 3.8145 11.7936 1.6113
S 0.1663 10.2744 2.1428
S -0.7509 12.9864 6.3398
S 0.7863 1.3637 6.5661
S 1.7036 6.3899 2.3691
S 1.5971 9.1173 6.0250
S 2.5144 14.1435 1.8280
S 4.0517 2.5208 2.0542
S 3.1344 5.2328 6.2513
O -0.1508 1.6680 1.3422
O -1.0681 6.0856 5.5393
O -0.3206 3.4571 3.0178
O -1.2379 4.2965 7.2148
O 0.2244 8.7347 5.6831
O 1.1417 14.5261 1.4861
O -0.1847 0.9645 7.5825
O 0.7326 6.7891 3.3855
O 1.1849 9.6396 1.3381
O 0.2676 13.6212 5.5351
O 0.8044 11.1845 3.2232
O -0.1129 12.0763 7.4203
O 0.4256 0.7097 5.1930
O 1.3428 7.0439 0.9959
O 0.6823 2.8118 6.2604
O 1.5996 4.9418 2.0634
O 1.7011 10.5654 6.3307
O 2.6184 12.6954 2.1337
O 1.9579 8.4634 7.3981
O 2.8752 14.7975 3.2011
O 3.4136 3.4309 0.9738
O 2.4963 4.3227 5.1708
O 3.0331 1.8860 2.8590
O 2.1158 5.8676 7.0560
O 2.5681 8.7181 5.0086
O 3.4854 14.5427 0.8116
O 2.1591 0.9811 6.9080
O 3.0764 6.7725 2.7109
O 4.5386 11.2107 1.1793
O 3.6214 12.0501 5.3763
O 4.3688 9.4216 2.8548
O 3.4515 13.8392 7.0518
! VASP energy (eV/cell): -300.1
! Mass density (g/cm³): 2.26
! Calculated formation energy (meV/atom): -1620

# 2
! Rb2Hg7 (PBE-GGA, relaxed); values from VASP
&SYSTEM
  ibrav = 0, nat = 9, ntyp = 2
/
ATOMIC_SPECIES
Rb 85.47 Rb.upf
Hg 200.59 Hg.upf
CELL_PARAMETERS angstrom
7.2390 0.0000 0.0000
-3.6195 6.2692 0.0000
0.0000 0.0000 6.7987
ATOMIC_POSITIONS angstrom
Rb 0.0000 4.1795 2.3645
Rb 3.6195 2.0897 4.4342
Hg 0.0000 0.0000 3.3993
Hg 0.0000 2.2563 5.6915
Hg -1.6655 5.1410 5.6915
Hg 1.9540 1.1281 1.1072
Hg 1.6655 5.1410 5.6915
Hg 5.2850 1.1281 1.1072
Hg 3.6195 4.0129 1.1072
! VASP energy (eV/cell): -6.0
! Mass density (g/cm³): 8.48
! Calculated formation energy (meV/atom): -216

# 3
! Na2MgSb2O6 (PBE-GGA, relaxed); values from VASP
&SYSTEM
  ibrav = 0, nat = 11, ntyp = 4
/
ATOMIC_SPECIES
Na 22.99 Na.upf
Mg 24.30 Mg.upf
Sb 121.76 Sb.upf
O 16.00 O.upf
CELL_PARAMETERS angstrom
5.3835 0.0000 0.0000
1.9294 5.1742 0.0000
2.6894 -0.0805 5.5646
ATOMIC_POSITIONS angstrom
Na 0.0000 0.0000 0.0000
Na 3.8934 2.3010 4.0837
Mg 4.4948 5.1366 2.2223
Sb 3.7534 2.6127 0.4550
Sb 6.4270 2.6761 2.2469
O 2.8043 3.7838 1.8668
O 1.8845 1.4527 0.8103
O 5.5049 3.8770 3.5282
O 4.6897 1.5294 1.8982
O 5.5240 3.8621 0.8265
O 7.2753 1.4016 3.5046
! VASP energy (eV/cell): -60.7
! Mass density (g/cm³): 4.39
! Calculated formation energy (meV/atom): -2056
! Energy above the most stable polymorph in this dataset (eV/atom): 0.000

# 4
! BaEuDySnO6 (PBE-GGA, relaxed); values from VASP
&SYSTEM
  ibrav = 0, nat = 10, ntyp = 5
/
ATOMIC_SPECIES
Ba 137.33 Ba.upf
Eu 151.96 Eu.upf
Dy 162.50 Dy.upf
Sn 118.71 Sn.upf
O 16.00 O.upf
CELL_PARAMETERS angstrom
0.0000 4.2593 4.2593
4.2593 0.0000 4.2593
4.2593 4.2593 0.0000
ATOMIC_POSITIONS angstrom
Ba 0.0000 0.0000 0.0000
Eu 4.2593 4.2593 4.2593
Dy 2.1297 2.1297 2.1297
Sn 6.3890 6.3890 6.3890
O 6.3890 6.3890 4.3315
O 6.3890 4.3315 6.3890
O 8.4464 6.3890 6.3890
O 4.3315 6.3890 6.3890
O 6.3890 8.4464 6.3890
O 6.3890 6.3890 8.4464
! VASP energy (eV/cell): -75.6
! Mass density (g/cm³): 7.16
! Calculated formation energy (meV/atom): -2926
! Energy above the most stable polymorph in this dataset (eV/atom): 0.101

# 5
! Rb3Mo2Br9 (PBE-GGA, relaxed); values from VASP
&SYSTEM
  ibrav = 0, nat = 28, ntyp = 3
/
ATOMIC_SPECIES
Rb 85.47 Rb.upf
Mo 95.94 Mo.upf
Br 79.90 Br.upf
CELL_PARAMETERS angstrom
7.7121 0.0000 0.0000
-3.8561 6.6789 0.0000
0.0000 0.0000 18.7997
ATOMIC_POSITIONS angstrom
Rb 0.0000 0.0000 4.6999
Rb 0.0000 0.0000 14.0998
Rb 0.0000 4.4526 1.1893
Rb 0.0000 4.4526 8.2106
Rb 3.8561 2.2263 10.5891
Rb 3.8561 2.2263 17.6105
Mo 0.0000 4.4526 12.6709
Mo 0.0000 4.4526 15.5286
Mo 3.8561 2.2263 3.2711
Mo 3.8561 2.2263 6.1288
Br -1.9082 3.3509 14.0998
Br 0.0000 2.3455 11.1758
Br 0.0000 2.3455 17.0237
Br -1.8248 5.5061 11.1758
Br -1.8248 5.5061 17.0237
Br 2.0313 1.1727 1.7760
Br 2.0313 1.1727 7.6239
Br 1.9082 3.3509 14.0998
Br 0.0000 6.6560 14.0998
Br 3.8561 0.0229 4.6999
Br 1.9479 3.3280 4.6999
Br 1.8248 5.5061 11.1758
Br 1.8248 5.5061 17.0237
Br 5.6809 1.1727 1.7760
Br 5.6809 1.1727 7.6239
Br 3.8561 4.3334 1.7760
Br 3.8561 4.3334 7.6239
Br 5.7642 3.3280 4.6999
! VASP energy (eV/cell): -109.7
! Mass density (g/cm³): 4.00
! Calculated formation energy (meV/atom): -1448

# 6
! Zr3O (PBE-GGA, relaxed); values from VASP
&SYSTEM
  ibrav = 0, nat = 8, ntyp = 2
/
ATOMIC_SPECIES
Zr 91.22 Zr.upf
O 16.00 O.upf
CELL_PARAMETERS angstrom
2.8372 1.6380 5.2336
-2.8372 1.6380 5.2336
0.0000 -3.2761 5.2336
ATOMIC_POSITIONS angstrom
Zr -1.8760 0.0268 6.5420
Zr -0.9612 -1.6113 9.1588
Zr 0.9148 -1.6380 6.5420
Zr -0.9148 1.6380 9.1588
Zr 0.9612 1.6113 6.5420
Zr 1.8760 -0.0268 9.1588
O 0.0000 0.0000 0.0000
O 0.0000 0.0000 7.8504
! VASP energy (eV/cell): -72.2
! Mass density (g/cm³): 6.59
! Calculated formation energy (meV/atom): -1545

# 7
! Er2GaCu (PBE-GGA, relaxed); values from VASP
&SYSTEM
  ibrav = 0, nat = 4, ntyp = 3
/
ATOMIC_SPECIES
Er 167.26 Er.upf
Ga 69.72 Ga.upf
Cu 63.55 Cu.upf
CELL_PARAMETERS angstrom
3.4944 0.0000 0.0000
0.0000 3.4944 0.0000
0.0000 0.0000 7.0349
ATOMIC_POSITIONS angstrom
Er 0.0000 0.0000 1.7031
Er 0.0000 0.0000 5.3318
Ga 1.7472 1.7472 3.5175
Cu 1.7472 1.7472 0.0000
! VASP energy (eV/cell): -18.0
! Mass density (g/cm³): 9.04
! Calculated formation energy (meV/atom): -424

# 8
! Mg7Mo (PBE-GGA, relaxed); values from VASP
&SYSTEM
  ibrav = 0, nat = 8, ntyp = 2
/
ATOMIC_SPECIES
Mg 24.30 Mg.upf
Mo 95.94 Mo.upf
CELL_PARAMETERS angstrom
6.2177 0.0000 0.0000
-3.1089 5.3847 0.0000
0.0000 0.0000 4.9341
ATOMIC_POSITIONS angstrom
Mg 0.0000 0.0000 0.0000
Mg 0.0000 1.8075 2.4671
Mg -1.5435 4.4809 2.4671
Mg 3.1089 0.0975 0.0000
Mg 1.6389 2.6436 0.0000
Mg 1.5435 4.4809 2.4671
Mg 4.5788 2.6436 0.0000
Mo 3.1089 1.7949 2.4671
! VASP energy (eV/cell): -20.4
! Mass density (g/cm³): 2.67
! Calculated formation energy (meV/atom): 207

# 9
! WN2 (PBE-GGA, relaxed); values from VASP
&SYSTEM
  ibrav = 0, nat = 12, ntyp = 2
/
ATOMIC_SPECIES
W 183.84 W.upf
N 14.01 N.upf
CELL_PARAMETERS angstrom
6.0703 0.0000 0.0000
0.0000 8.5845 0.0000
0.0000 0.0000 6.0708
ATOMIC_POSITIONS angstrom
W 0.0132 1.0731 0.0000
W 3.0219 5.3653 3.0354
W 3.0484 3.2192 0.0000
W 6.0571 7.5115 3.0354
N 6.0696 0.0059 4.5489
N 0.0007 8.5786 1.5135
N 1.4920 6.4215 3.0396
N 1.5431 2.1292 0.0042
N 3.0345 4.2863 4.5489
N 3.0359 4.2982 1.5135
N 4.5272 6.4554 3.0396
N 4.5783 2.1631 0.0042
! VASP energy (eV/cell): -121.3
! Mass density (g/cm³): 4.45
! Calculated formation energy (meV/atom): -476

# 10
! SnO2 (PBE-GGA, relaxed); values from VASP
&SYSTEM
  ibrav = 0, nat = 12, ntyp = 2
/
ATOMIC_SPECIES
Sn 118.71 Sn.upf
O 16.00 O.upf
CELL_PARAMETERS angstrom
4.0572 0.0000 0.0000
0.0000 4.0572 0.0000
0.0000 0.0000 10.3560
ATOMIC_POSITIONS angstrom
Sn 0.0000 1.0143 3.8835
Sn 0.0000 3.0429 6.4725
Sn 2.0286 1.0143 1.2945
Sn 2.0286 3.0429 9.0615
O 0.0000 1.0143 1.7827
O 0.0000 1.0143 5.9843
O 0.0000 3.0429 4.3717
O 0.0000 3.0429 8.5733
O 2.0286 1.0143 3.3953
O 2.0286 1.0143 9.5498
O 2.0286 3.0429 0.8063
O 2.0286 3.0429 6.9607
! VASP energy (eV/cell): -74.7
! Mass density (g/cm³): 5.87
! Calculated formation energy (meV/atom): -2050

# 11
! NaAg2 (PBE-GGA, relaxed); values from VASP
&SYSTEM
  ibrav = 0, nat = 6, ntyp = 2
/
ATOMIC_SPECIES
Na 22.99 Na.upf
Ag 107.87 Ag.upf
CELL_PARAMETERS angstrom
0.0000 4.0256 4.0256
4.0256 0.0000 4.0256
4.0256 4.0256 0.0000
ATOMIC_POSITIONS angstrom
Na 1.0064 1.0064 1.0064
Na 7.0447 7.0447 7.0447
Ag 4.0256 2.0128 2.0128
Ag 2.0128 4.0256 2.0128
Ag 2.0128 2.0128 4.0256
Ag 4.0256 4.0256 4.0256
! VASP energy (eV/cell): -14.6
! Mass density (g/cm³): 6.08
! Calculated formation energy (meV/atom): -100

# 12
! MgAg2Br2O8 (PBE-GGA, relaxed); values from VASP
&SYSTEM
  ibrav = 0, nat = 13, ntyp = 4
/
ATOMIC_SPECIES
Mg 24.30 Mg.upf
Ag 107.87 Ag.upf
Br 79.90 Br.upf
O 16.00 O.upf
CELL_PARAMETERS angstrom
3.7398 -7.3432 0.0000
3.7398 7.3432 0.0000
-3.1099 0.0000 4.4454
ATOMIC_POSITIONS angstrom
Mg 0.0000 0.0000 0.0000
Ag 3.7398 4.0903 0.0000
Ag 2.1849 -1.3937 2.2227
Br 2.1849 6.1253 2.2227
Br 3.7398 -4.4454 0.0000
O 0.3531 1.8350 1.2459
O -1.1480 -0.2285 3.5408
O 0.2516 -1.3707 1.4565
O 2.4131 -3.4747 0.3229
O 4.0167 1.8350 3.1995
O 5.5178 -0.2285 0.9047
O 1.9567 -3.4747 4.1225
O 4.1182 -1.3707 2.9890
! VASP energy (eV/cell): -52.4
! Mass density (g/cm³): 3.59
! Calculated formation energy (meV/atom): -599

# 13
! NaNbO3 (PBE-GGA, relaxed); values from VASP
&SYSTEM
  ibrav = 0, nat = 20, ntyp = 3
/
ATOMIC_SPECIES
Na 22.99 Na.upf
Nb 92.91 Nb.upf
O 16.00 O.upf
CELL_PARAMETERS angstrom
7.8434 0.0000 0.0000
0.0000 5.6210 0.0000
0.0000 0.0000 5.6981
ATOMIC_POSITIONS angstrom
Na 0.0000 1.3184 0.0000
Na 0.0000 4.3026 2.8490
Na 3.9217 1.3530 5.5801
Na 3.9217 4.2681 2.7310
Nb 1.9650 1.4443 2.8338
Nb 1.9650 4.1768 5.6829
Nb 5.8784 1.4443 2.8338
Nb 5.8784 4.1768 5.6829
O 0.0000 1.0575 3.0355
O 0.0000 4.5635 0.1865
O 1.7221 2.5917 4.6757
O 1.7221 3.0294 1.8267
O 2.2175 0.2291 1.4015
O 2.2175 5.3919 4.2506
O 3.9217 1.7571 3.1488
O 3.9217 3.8640 0.2998
O 5.6259 0.2291 1.4015
O 5.6259 5.3919 4.2506
O 6.1213 2.5917 4.6757
O 6.1213 3.0294 1.8267
! Maximum piezoelectric response (C/m²): 4.50
! VASP energy (eV/cell): -153.5
! Mass density (g/cm³): 4.33
! Calculated formation energy (meV/atom): -2833

# 14
! CsHfMg14O15 (PBE-GGA, relaxed); values from VASP
&SYSTEM
  ibrav = 0, nat = 31, ntyp = 4
/
ATOMIC_SPECIES
Cs 132.91 Cs.upf
Hf 178.49 Hf.upf
Mg 24.30 Mg.upf
O 16.00 O.upf
CELL_PARAMETERS angstrom
4.1373 0.0000 0.0000
0.0000 8.2677 0.0000
0.0000 0.0000 11.7199
ATOMIC_POSITIONS angstrom
Cs 0.0000 0.0000 0.0000
Hf 0.0000 4.1339 0.7818
Mg 0.0000 0.0000 6.2938
Mg 0.0000 2.0633 3.9470
Mg 0.0000 2.0846 8.6589
Mg 0.0000 4.1339 6.1848
Mg 0.0000 6.1832 8.6589
Mg 0.0000 6.2044 3.9470
Mg 2.0686 0.0000 3.9589
Mg 2.0686 0.0000 8.5653
Mg 2.0686 1.9621 1.9067
Mg 2.0686 2.1330 6.5025
Mg 2.0686 4.1339 4.1789
Mg 2.0686 4.1339 9.6422
Mg 2.0686 6.1347 6.5025
Mg 2.0686 6.3056 1.9067
O 0.0000 0.0000 4.2889
O 0.0000 2.1093 6.5317
O 0.0000 2.3621 1.7328
O 0.0000 4.1339 4.1647
O 0.0000 4.1339 10.4231
O 0.0000 5.9056 1.7328
O 0.0000 6.1584 6.5317
O 2.0686 0.0000 1.8849
O 2.0686 0.0000 6.4920
O 2.0686 2.0933 3.9696
O 2.0686 2.2266 8.7424
O 2.0686 4.1339 1.1535
O 2.0686 4.1339 6.2160
O 2.0686 6.0412 8.7424
O 2.0686 6.1744 3.9696
! VASP energy (eV/cell): -181.4
! Mass density (g/cm³): 3.69
! Calculated formation energy (meV/atom): -2715
! Energy above the most stable polymorph in this dataset (eV/atom): 0.028

# 15
! NaSe (PBE-GGA, relaxed); values from VASP
&SYSTEM
  ibrav = 0, nat = 8, ntyp = 2
/
ATOMIC_SPECIES
Na 22.99 Na.upf
Se 78.96 Se.upf
CELL_PARAMETERS angstrom
5.9865 0.0000 0.0000
0.0000 5.9865 0.0000
0.0000 0.0000 5.9865
ATOMIC_POSITIONS angstrom
Na 0.0000 0.0000 0.0000
Na 0.0000 2.9933 2.9933
Na 2.9933 0.0000 2.9933
Na 2.9933 2.9933 0.0000
Se 0.0000 0.0000 2.9933
Se 0.0000 2.9933 0.0000
Se 2.9933 0.0000 0.0000
Se 2.9933 2.9933 2.9933
! VASP energy (eV/cell): -22.6
! Mass density (g/cm³): 3.16
! Calculated formation energy (meV/atom): -653